No. 1
! Na2Al2B2O7 PBE-GGA relaxed; values from VASP
! crystal system: monoclinic
&SYSTEM
  ibrav = 0, nat = 26, ntyp = 4
/
ATOMIC_SPECIES
Na 22.99 Na.upf
Al 26.98 Al.upf
B 10.81 B.upf
O 16.00 O.upf
ATOMIC_POSITIONS crystal
Na 0.000 0.000 0.000
Na 0.000 0.500 0.000
Na 0.006 0.250 0.995
Na 0.994 0.750 0.005
Al 0.342 0.639 0.671
Al 0.342 0.861 0.671
Al 0.658 0.139 0.329
Al 0.658 0.361 0.329
B 0.331 0.105 0.666
B 0.331 0.395 0.666
B 0.669 0.605 0.334
B 0.669 0.895 0.334
O 0.037 0.110 0.646
O 0.037 0.390 0.646
O 0.353 0.100 0.395
O 0.353 0.400 0.395
O 0.368 0.750 0.683
O 0.397 0.603 0.040
O 0.397 0.897 0.040
O 0.603 0.103 0.960
O 0.603 0.397 0.960
O 0.632 0.250 0.317
O 0.647 0.600 0.605
O 0.647 0.900 0.605
O 0.963 0.610 0.354
O 0.963 0.890 0.354
CELL_PARAMETERS angstrom
4.870 0.000 0.000
0.000 15.590 0.000
-2.429 0.000 4.227



No. 2
! Ta2InC PBE-GGA relaxed; values from VASP
! crystal system: hexagonal
&SYSTEM
  ibrav = 0, nat = 8, ntyp = 3
/
ATOMIC_SPECIES
Ta 180.95 Ta.upf
In 114.82 In.upf
C 12.01 C.upf
ATOMIC_POSITIONS crystal
Ta 0.333 0.667 0.083
Ta 0.333 0.667 0.417
Ta 0.667 0.333 0.583
Ta 0.667 0.333 0.917
In 0.333 0.667 0.750
In 0.667 0.333 0.250
C 0.000 0.000 0.000
C 0.000 0.000 0.500
CELL_PARAMETERS angstrom
3.168 0.000 0.000
-1.584 2.743 0.000
0.000 0.000 14.533



No. 3
! Tm4B6O15 PBE-GGA relaxed; values from VASP
! crystal system: monoclinic
! ΔE to the lowest computed polymorph: 0 meV/atom
&SYSTEM
  ibrav = 0, nat = 50, ntyp = 3
/
ATOMIC_SPECIES
Tm 168.93 Tm.upf
B 10.81 B.upf
O 16.00 O.upf
ATOMIC_POSITIONS crystal
Tm 0.065 0.668 0.901
Tm 0.070 0.655 0.698
Tm 0.332 0.935 0.599
Tm 0.345 0.930 0.802
Tm 0.655 0.070 0.198
Tm 0.668 0.065 0.401
Tm 0.930 0.345 0.302
Tm 0.935 0.332 0.099
B 0.021 0.641 0.526
B 0.197 0.609 0.087
B 0.204 0.659 0.306
B 0.341 0.796 0.194
B 0.359 0.979 0.974
B 0.391 0.803 0.413
B 0.609 0.197 0.587
B 0.641 0.021 0.026
B 0.659 0.204 0.806
B 0.796 0.341 0.694
B 0.803 0.391 0.913
B 0.979 0.359 0.474
O 0.005 0.249 0.980
O 0.050 0.315 0.704
O 0.074 0.562 0.139
O 0.090 0.494 0.450
O 0.131 0.869 0.250
O 0.159 0.812 0.379
O 0.188 0.841 0.121
O 0.249 0.005 0.480
O 0.288 0.544 0.571
O 0.315 0.050 0.204
O 0.335 0.535 0.803
O 0.438 0.926 0.361
O 0.456 0.712 0.929
O 0.465 0.665 0.697
O 0.494 0.090 0.950
O 0.506 0.910 0.050
O 0.535 0.335 0.303
O 0.544 0.288 0.071
O 0.562 0.074 0.639
O 0.665 0.465 0.197
O 0.685 0.950 0.796
O 0.712 0.456 0.429
O 0.751 0.995 0.520
O 0.812 0.159 0.879
O 0.841 0.188 0.621
O 0.869 0.131 0.750
O 0.910 0.506 0.550
O 0.926 0.438 0.861
O 0.950 0.685 0.296
O 0.995 0.751 0.020
CELL_PARAMETERS angstrom
5.813 -2.191 0.000
5.813 2.191 0.000
-2.070 0.000 18.663



No. 4
! PaN PBE-GGA relaxed; values from VASP
! crystal system: cubic
&SYSTEM
  ibrav = 0, nat = 2, ntyp = 2
/
ATOMIC_SPECIES
Pa 231.04 Pa.upf
N 14.01 N.upf
ATOMIC_POSITIONS crystal
Pa 0.000 0.000 0.000
N 0.500 0.500 0.500
CELL_PARAMETERS angstrom
0.000 2.478 2.478
2.478 0.000 2.478
2.478 2.478 0.000



No. 5
! CuP4S3Br PBE-GGA relaxed; values from VASP
! crystal system: orthorhombic
&SYSTEM
  ibrav = 0, nat = 36, ntyp = 4
/
ATOMIC_SPECIES
Cu 63.55 Cu.upf
P 30.97 P.upf
S 32.06 S.upf
Br 79.90 Br.upf
ATOMIC_POSITIONS crystal
Cu 0.195 0.195 0.000
Cu 0.305 0.305 0.500
Cu 0.695 0.695 0.500
Cu 0.805 0.805 0.000
P 0.061 0.223 0.459
P 0.118 0.882 0.712
P 0.215 0.785 0.472
P 0.223 0.061 0.541
P 0.277 0.439 0.041
P 0.285 0.715 0.972
P 0.382 0.618 0.212
P 0.439 0.277 0.959
P 0.561 0.723 0.041
P 0.618 0.382 0.788
P 0.715 0.285 0.028
P 0.723 0.561 0.959
P 0.777 0.939 0.459
P 0.785 0.215 0.528
P 0.882 0.118 0.288
P 0.939 0.777 0.541
S 0.049 0.362 0.567
S 0.138 0.451 0.933
S 0.210 0.790 0.674
S 0.290 0.710 0.174
S 0.362 0.049 0.433
S 0.451 0.138 0.067
S 0.549 0.862 0.933
S 0.638 0.951 0.567
S 0.710 0.290 0.826
S 0.790 0.210 0.326
S 0.862 0.549 0.067
S 0.951 0.638 0.433
Br 0.027 0.973 0.175
Br 0.473 0.527 0.675
Br 0.527 0.473 0.325
Br 0.973 0.027 0.825
CELL_PARAMETERS angstrom
3.944 -11.178 0.000
3.944 11.178 0.000
0.000 0.000 10.537



No. 6
! La2C2Cl PBE-GGA relaxed; values from VASP
! crystal system: monoclinic
&SYSTEM
  ibrav = 0, nat = 10, ntyp = 3
/
ATOMIC_SPECIES
La 138.91 La.upf
C 12.01 C.upf
Cl 35.45 Cl.upf
ATOMIC_POSITIONS crystal
La 0.049 0.652 0.849
La 0.348 0.951 0.651
La 0.652 0.049 0.349
La 0.951 0.348 0.151
C 0.141 0.413 0.473
C 0.413 0.141 0.973
C 0.587 0.859 0.027
C 0.859 0.587 0.527
Cl 0.287 0.713 0.250
Cl 0.713 0.287 0.750
CELL_PARAMETERS angstrom
7.528 -2.119 0.000
7.528 2.119 0.000
-1.345 0.000 6.644



No. 7
! Hf3Mg PBE-GGA relaxed; values from VASP
! crystal system: cubic
! ΔE to the lowest computed polymorph: 159 meV/atom
&SYSTEM
  ibrav = 0, nat = 4, ntyp = 2
/
ATOMIC_SPECIES
Hf 178.49 Hf.upf
Mg 24.30 Mg.upf
ATOMIC_POSITIONS crystal
Hf 0.000 0.000 0.000
Hf 0.250 0.250 0.250
Hf 0.750 0.750 0.750
Mg 0.500 0.500 0.500
CELL_PARAMETERS angstrom
0.000 3.517 3.517
3.517 0.000 3.517
3.517 3.517 0.000



No. 8
! ScBe13 PBE-GGA relaxed; values from VASP
! crystal system: cubic
&SYSTEM
  ibrav = 0, nat = 28, ntyp = 2
/
ATOMIC_SPECIES
Sc 44.96 Sc.upf
Be 9.01 Be.upf
ATOMIC_POSITIONS crystal
Sc 0.250 0.250 0.250
Sc 0.750 0.750 0.750
Be 0.000 0.000 0.000
Be 0.063 0.292 0.708
Be 0.063 0.708 0.937
Be 0.063 0.937 0.292
Be 0.208 0.437 0.792
Be 0.208 0.563 0.437
Be 0.208 0.792 0.563
Be 0.292 0.063 0.937
Be 0.292 0.708 0.063
Be 0.292 0.937 0.708
Be 0.437 0.208 0.563
Be 0.437 0.563 0.792
Be 0.437 0.792 0.208
Be 0.500 0.500 0.500
Be 0.563 0.208 0.792
Be 0.563 0.437 0.208
Be 0.563 0.792 0.437
Be 0.708 0.063 0.292
Be 0.708 0.292 0.937
Be 0.708 0.937 0.063
Be 0.792 0.208 0.437
Be 0.792 0.437 0.563
Be 0.792 0.563 0.208
Be 0.937 0.063 0.708
Be 0.937 0.292 0.063
Be 0.937 0.708 0.292
CELL_PARAMETERS angstrom
0.000 5.015 5.015
5.015 0.000 5.015
5.015 5.015 0.000



Formation enthalpy at 0 K, record by record: -2949.4, -376.4, -3385.2, -1809.2, -447.4, -1063.9, 237.2, -167.3 meV per atom